No. 1
{
  "formula": "Mg2TiCr3S8",
  "functional": "GGA-PBE",
  "state": "optimized geometry",
  "lattice_angstrom": [[6.278, -0.021, 3.590], [2.073, 5.927, 3.590], [-0.030, -0.021, 7.233]],
  "species": ["Mg", "Mg", "Ti", "Cr", "Cr", "Cr", "S", "S", "S", "S", "S", "S", "S", "S"],
  "fractional_positions": [[0.875, 0.875, 0.875], [0.125, 0.125, 0.125], [0.500, 0.500, 0.500], [0.500, 0.500, 0.000], [0.000, 0.500, 0.500], [0.500, 0.000, 0.500], [0.737, 0.737, 0.737], [0.259, 0.259, 0.714], [0.259, 0.714, 0.259], [0.714, 0.259, 0.259], [0.741, 0.286, 0.741], [0.286, 0.741, 0.741], [0.263, 0.263, 0.263], [0.741, 0.741, 0.286]],
  "formation_enthalpy_0k_ev_per_atom": -1.281
}

No. 2
{
  "formula": "MgVCr3S8",
  "functional": "GGA-PBE",
  "state": "optimized geometry",
  "lattice_angstrom": [[-5.342, -0.219, 4.475], [1.333, 0.301, 6.839], [-1.690, 5.789, 3.499]],
  "species": ["Mg", "V", "Cr", "Cr", "Cr", "S", "S", "S", "S", "S", "S", "S", "S"],
  "fractional_positions": [[0.121, 0.121, 0.121], [0.521, 0.521, 0.521], [0.504, 0.504, 0.985], [0.985, 0.504, 0.504], [0.504, 0.985, 0.504], [0.742, 0.742, 0.742], [0.266, 0.266, 0.704], [0.266, 0.704, 0.266], [0.704, 0.266, 0.266], [0.745, 0.260, 0.745], [0.260, 0.745, 0.745], [0.261, 0.261, 0.261], [0.745, 0.745, 0.260]],
  "formation_enthalpy_0k_ev_per_atom": -1.119
}

No. 3
{
  "formula": "MgVCrS4",
  "functional": "GGA-PBE",
  "state": "optimized geometry",
  "lattice_angstrom": [[6.161, 0.001, 3.558], [2.025, 5.952, 3.608], [-0.076, 0.008, 7.248]],
  "species": ["Mg", "Mg", "V", "V", "Cr", "Cr", "S", "S", "S", "S", "S", "S", "S", "S"],
  "fractional_positions": [[0.874, 0.876, 0.876], [0.126, 0.124, 0.124], [0.500, 0.500, 0.500], [0.000, 0.500, 0.500], [0.500, 0.500, 0.000], [0.500, 0.000, 0.500], [0.737, 0.737, 0.737], [0.265, 0.257, 0.714], [0.265, 0.714, 0.257], [0.711, 0.263, 0.263], [0.735, 0.286, 0.743], [0.289, 0.737, 0.737], [0.263, 0.263, 0.263], [0.735, 0.743, 0.286]],
  "formation_enthalpy_0k_ev_per_atom": -1.236
}

No. 4
{
  "formula": "MgV2Cr2S8",
  "functional": "GGA-PBE",
  "state": "optimized geometry",
  "lattice_angstrom": [[-0.534, 6.925, 0.439], [0.353, 3.130, 6.284], [5.667, 3.837, 1.608]],
  "species": ["Mg", "V", "V", "Cr", "Cr", "S", "S", "S", "S", "S", "S", "S", "S"],
  "fractional_positions": [[0.131, 0.119, 0.119], [0.520, 0.514, 0.514], [0.952, 0.514, 0.514], [0.506, 0.503, 0.985], [0.506, 0.985, 0.503], [0.748, 0.744, 0.744], [0.265, 0.266, 0.704], [0.265, 0.705, 0.266], [0.709, 0.265, 0.265], [0.749, 0.256, 0.746], [0.265, 0.744, 0.744], [0.261, 0.265, 0.265], [0.749, 0.746, 0.256]],
  "formation_enthalpy_0k_ev_per_atom": -1.158
}

No. 5
{
  "formula": "MgV3CrS8",
  "functional": "GGA-PBE",
  "state": "optimized geometry",
  "lattice_angstrom": [[-2.641, -5.439, -3.452], [2.770, -6.437, 0.989], [-3.680, -4.835, 3.401]],
  "species": ["Mg", "V", "V", "V", "Cr", "S", "S", "S", "S", "S", "S", "S", "S"],
  "fractional_positions": [[0.128, 0.114, 0.129], [0.517, 0.510, 0.516], [0.516, 0.511, 0.956], [0.957, 0.511, 0.516], [0.505, 0.986, 0.505], [0.747, 0.747, 0.748], [0.262, 0.267, 0.707], [0.266, 0.703, 0.266], [0.708, 0.267, 0.262], [0.751, 0.247, 0.751], [0.258, 0.747, 0.747], [0.263, 0.267, 0.262], [0.747, 0.747, 0.258]],
  "formation_enthalpy_0k_ev_per_atom": -1.205
}

No. 6
{
  "formula": "Mg2VCr3S8",
  "functional": "GGA-PBE",
  "state": "optimized geometry",
  "lattice_angstrom": [[6.270, -0.003, 3.611], [2.088, 5.908, 3.610], [-0.002, -0.003, 7.226]],
  "species": ["Mg", "Mg", "V", "Cr", "Cr", "Cr", "S", "S", "S", "S", "S", "S", "S", "S"],
  "fractional_positions": [[0.875, 0.875, 0.875], [0.125, 0.125, 0.125], [0.500, 0.500, 0.500], [0.500, 0.500, 0.000], [0.000, 0.500, 0.500], [0.500, 0.000, 0.500], [0.737, 0.737, 0.737], [0.262, 0.262, 0.712], [0.262, 0.712, 0.262], [0.712, 0.262, 0.262], [0.738, 0.288, 0.738], [0.288, 0.738, 0.738], [0.263, 0.263, 0.263], [0.738, 0.738, 0.288]],
  "formation_enthalpy_0k_ev_per_atom": -1.203
}

No. 7
{
  "formula": "Mg2CrW3S8",
  "functional": "GGA-PBE",
  "state": "optimized geometry",
  "lattice_angstrom": [[0.719, 0.917, 6.872], [1.356, -6.022, 4.196], [6.291, -0.564, 2.947]],
  "species": ["Mg", "Mg", "Cr", "W", "W", "W", "S", "S", "S", "S", "S", "S", "S", "S"],
  "fractional_positions": [[0.860, 0.922, 0.860], [0.111, 0.168, 0.111], [0.517, 0.947, 0.518], [0.467, 0.506, 0.467], [0.468, 0.506, 0.059], [0.059, 0.506, 0.468], [0.754, 0.715, 0.754], [0.279, 0.234, 0.708], [0.240, 0.777, 0.241], [0.708, 0.234, 0.279], [0.727, 0.318, 0.727], [0.276, 0.715, 0.754], [0.279, 0.236, 0.279], [0.754, 0.715, 0.276]],
  "formation_enthalpy_0k_ev_per_atom": -1.004
}

No. 8
{
  "formula": "Mg2Cr3WS8",
  "functional": "GGA-PBE",
  "state": "optimized geometry",
  "lattice_angstrom": [[6.320, 0.023, 3.685], [2.128, 5.950, 3.685], [0.032, 0.023, 7.315]],
  "species": ["Mg", "Mg", "Cr", "Cr", "Cr", "W", "S", "S", "S", "S", "S", "S", "S", "S"],
  "fractional_positions": [[0.874, 0.874, 0.874], [0.126, 0.126, 0.126], [0.500, 0.500, 0.000], [0.000, 0.500, 0.500], [0.500, 0.000, 0.500], [0.500, 0.500, 0.500], [0.737, 0.737, 0.737], [0.260, 0.260, 0.712], [0.260, 0.712, 0.260], [0.712, 0.260, 0.260], [0.740, 0.288, 0.740], [0.288, 0.740, 0.740], [0.263, 0.263, 0.263], [0.740, 0.740, 0.288]],
  "formation_enthalpy_0k_ev_per_atom": -1.067
}

No. 9
{
  "formula": "Mg6CrSb",
  "functional": "GGA-PBE",
  "state": "optimized geometry",
  "lattice_angstrom": [[-3.612, 2.754, -2.213], [-1.988, -5.148, -3.161], [-6.774, -2.365, 8.112]],
  "species": ["Mg", "Mg", "Mg", "Mg", "Mg", "Mg", "Mg", "Mg", "Mg", "Mg", "Mg", "Mg", "Cr", "Cr", "Sb", "Sb"],
  "fractional_positions": [[0.000, 0.244, 0.081], [0.000, 0.756, 0.081], [0.000, 0.500, 0.834], [0.500, 0.247, 0.915], [0.500, 0.753, 0.915], [0.500, 0.500, 0.668], [0.000, 0.744, 0.581], [0.000, 0.256, 0.581], [0.000, 0.000, 0.334], [0.500, 0.747, 0.415], [0.500, 0.253, 0.415], [0.500, 0.000, 0.168], [0.000, 0.500, 0.333], [0.000, 0.000, 0.833], [0.500, 0.500, 0.173], [0.500, 0.000, 0.673]],
  "formation_enthalpy_0k_ev_per_atom": 0.041,
  "de_polymorph_mev_per_atom": 3
}

No. 10
{
  "formula": "Mg6CrSb",
  "functional": "GGA-PBE",
  "state": "optimized geometry",
  "lattice_angstrom": [[5.164, 0.000, 0.000], [0.000, 6.218, 0.000], [0.000, 0.000, 10.878]],
  "species": ["Mg", "Mg", "Mg", "Mg", "Mg", "Mg", "Mg", "Mg", "Mg", "Mg", "Mg", "Mg", "Cr", "Cr", "Sb", "Sb"],
  "fractional_positions": [[0.500, 0.249, 0.416], [0.500, 0.751, 0.416], [0.000, 0.758, 0.083], [0.000, 0.242, 0.083], [0.000, 0.000, 0.331], [0.000, 0.500, 0.336], [0.500, 0.749, 0.916], [0.500, 0.251, 0.916], [0.000, 0.258, 0.583], [0.000, 0.742, 0.583], [0.000, 0.500, 0.831], [0.000, 0.000, 0.836], [0.500, 0.000, 0.167], [0.500, 0.500, 0.667], [0.500, 0.500, 0.168], [0.500, 0.000, 0.668]],
  "formation_enthalpy_0k_ev_per_atom": 0.038,
  "de_polymorph_mev_per_atom": 0
}

No. 11
{
  "formula": "MgCr2Se4",
  "functional": "GGA-PBE",
  "state": "optimized geometry",
  "lattice_angstrom": [[0.000, 5.381, 5.381], [5.381, 0.000, 5.381], [5.381, 5.381, 0.000]],
  "species": ["Mg", "Mg", "Cr", "Cr", "Cr", "Cr", "Se", "Se", "Se", "Se", "Se", "Se", "Se", "Se"],
  "fractional_positions": [[0.250, 0.250, 0.250], [0.000, 0.000, 0.000], [0.625, 0.125, 0.625], [0.625, 0.625, 0.125], [0.125, 0.625, 0.625], [0.625, 0.625, 0.625], [0.388, 0.836, 0.388], [0.862, 0.862, 0.414], [0.862, 0.862, 0.862], [0.414, 0.862, 0.862], [0.388, 0.388, 0.388], [0.836, 0.388, 0.388], [0.862, 0.414, 0.862], [0.388, 0.388, 0.836]],
  "formation_enthalpy_0k_ev_per_atom": -1.004
}

No. 12
{
  "formula": "Mg14CrSn",
  "functional": "GGA-PBE",
  "state": "optimized geometry",
  "lattice_angstrom": [[6.302, 0.000, 0.000], [-3.151, 5.458, 0.000], [0.000, 0.000, 10.416]],
  "species": ["Mg", "Mg", "Mg", "Mg", "Mg", "Mg", "Mg", "Mg", "Mg", "Mg", "Mg", "Mg", "Mg", "Mg", "Cr", "Sn"],
  "fractional_positions": [[0.166, 0.833, 0.125], [0.167, 0.833, 0.625], [0.667, 0.334, 0.125], [0.667, 0.333, 0.625], [0.667, 0.833, 0.125], [0.667, 0.833, 0.625], [0.332, 0.168, 0.380], [0.332, 0.168, 0.870], [0.332, 0.664, 0.380], [0.332, 0.664, 0.870], [0.836, 0.168, 0.380], [0.836, 0.168, 0.870], [0.833, 0.667, 0.376], [0.833, 0.667, 0.874], [0.167, 0.333, 0.625], [0.167, 0.333, 0.125]],
  "formation_enthalpy_0k_ev_per_atom": 0.043,
  "de_polymorph_mev_per_atom": 5
}

No. 13
{
  "formula": "Mg14CrSn",
  "functional": "GGA-PBE",
  "state": "optimized geometry",
  "lattice_angstrom": [[-1.810, -4.097, 4.458], [4.124, -1.783, -4.390], [7.820, 3.147, 6.068]],
  "species": ["Mg", "Mg", "Mg", "Mg", "Mg", "Mg", "Mg", "Mg", "Mg", "Mg", "Mg", "Mg", "Mg", "Mg", "Cr", "Sn"],
  "fractional_positions": [[0.167, 0.333, 0.625], [0.167, 0.833, 0.625], [0.668, 0.334, 0.125], [0.667, 0.333, 0.625], [0.668, 0.833, 0.125], [0.667, 0.834, 0.625], [0.332, 0.163, 0.373], [0.332, 0.163, 0.877], [0.332, 0.669, 0.373], [0.332, 0.669, 0.877], [0.833, 0.166, 0.376], [0.833, 0.166, 0.874], [0.837, 0.668, 0.373], [0.837, 0.668, 0.877], [0.163, 0.832, 0.125], [0.166, 0.333, 0.125]],
  "formation_enthalpy_0k_ev_per_atom": 0.037,
  "de_polymorph_mev_per_atom": 0
}

No. 14
{
  "formula": "SrMg6Cr",
  "functional": "GGA-PBE",
  "state": "optimized geometry",
  "lattice_angstrom": [[5.203, 0.000, 0.000], [0.000, 6.682, 0.000], [0.000, 0.000, 11.634]],
  "species": ["Sr", "Sr", "Mg", "Mg", "Mg", "Mg", "Mg", "Mg", "Mg", "Mg", "Mg", "Mg", "Mg", "Mg", "Cr", "Cr"],
  "fractional_positions": [[0.000, 0.500, 0.329], [0.000, 0.000, 0.829], [0.000, 0.262, 0.082], [0.000, 0.738, 0.082], [0.000, 0.000, 0.338], [0.500, 0.765, 0.425], [0.500, 0.235, 0.425], [0.500, 0.000, 0.167], [0.000, 0.762, 0.582], [0.000, 0.238, 0.582], [0.000, 0.500, 0.838], [0.500, 0.265, 0.925], [0.500, 0.735, 0.925], [0.500, 0.500, 0.667], [0.500, 0.500, 0.152], [0.500, 0.000, 0.652]],
  "formation_enthalpy_0k_ev_per_atom": 0.226,
  "de_polymorph_mev_per_atom": 0
}

No. 15
{
  "formula": "SrMg14Cr",
  "functional": "GGA-PBE",
  "state": "optimized geometry",
  "lattice_angstrom": [[-4.575, -4.314, -1.725], [5.287, 0.714, -3.664], [4.871, -7.400, 5.587]],
  "species": ["Sr", "Mg", "Mg", "Mg", "Mg", "Mg", "Mg", "Mg", "Mg", "Mg", "Mg", "Mg", "Mg", "Mg", "Mg", "Cr"],
  "fractional_positions": [[0.163, 0.331, 0.125], [0.168, 0.334, 0.625], [0.164, 0.832, 0.625], [0.658, 0.321, 0.125], [0.666, 0.335, 0.625], [0.658, 0.837, 0.125], [0.666, 0.831, 0.625], [0.337, 0.159, 0.383], [0.337, 0.159, 0.867], [0.337, 0.678, 0.383], [0.337, 0.678, 0.867], [0.826, 0.163, 0.389], [0.826, 0.163, 0.861], [0.841, 0.670, 0.364], [0.841, 0.670, 0.886], [0.174, 0.837, 0.125]],
  "formation_enthalpy_0k_ev_per_atom": 0.118,
  "de_polymorph_mev_per_atom": 0
}

No. 16
{
  "formula": "SrMg14Cr",
  "functional": "GGA-PBE",
  "state": "optimized geometry",
  "lattice_angstrom": [[-5.233, 3.713, 1.009], [-0.678, -6.401, -0.868], [0.924, -1.492, 10.283]],
  "species": ["Sr", "Mg", "Mg", "Mg", "Mg", "Mg", "Mg", "Mg", "Mg", "Mg", "Mg", "Mg", "Mg", "Mg", "Mg", "Cr"],
  "fractional_positions": [[0.167, 0.333, 0.125], [0.175, 0.837, 0.125], [0.166, 0.833, 0.625], [0.663, 0.325, 0.125], [0.667, 0.334, 0.625], [0.663, 0.837, 0.125], [0.667, 0.833, 0.625], [0.335, 0.165, 0.389], [0.335, 0.165, 0.861], [0.335, 0.670, 0.389], [0.335, 0.670, 0.861], [0.830, 0.165, 0.389], [0.830, 0.165, 0.861], [0.833, 0.667, 0.369], [0.833, 0.667, 0.881], [0.167, 0.333, 0.625]],
  "formation_enthalpy_0k_ev_per_atom": 0.124,
  "de_polymorph_mev_per_atom": 5
}

No. 17
{
  "formula": "SrMg6Cr",
  "functional": "GGA-PBE",
  "state": "optimized geometry",
  "lattice_angstrom": [[5.257, 0.000, 0.000], [0.000, 6.631, 0.000], [0.000, 0.000, 11.604]],
  "species": ["Sr", "Sr", "Mg", "Mg", "Mg", "Mg", "Mg", "Mg", "Mg", "Mg", "Mg", "Mg", "Mg", "Mg", "Cr", "Cr"],
  "fractional_positions": [[0.500, 0.000, 0.167], [0.500, 0.500, 0.667], [0.500, 0.245, 0.418], [0.500, 0.755, 0.418], [0.000, 0.731, 0.081], [0.000, 0.269, 0.081], [0.000, 0.000, 0.341], [0.000, 0.500, 0.329], [0.500, 0.745, 0.918], [0.500, 0.255, 0.918], [0.000, 0.231, 0.581], [0.000, 0.769, 0.581], [0.000, 0.500, 0.841], [0.000, 0.000, 0.829], [0.500, 0.500, 0.165], [0.500, 0.000, 0.665]],
  "formation_enthalpy_0k_ev_per_atom": 0.229,
  "de_polymorph_mev_per_atom": 3
}

No. 18
{
  "formula": "Mg6TiCr",
  "functional": "GGA-PBE",
  "state": "optimized geometry",
  "lattice_angstrom": [[4.920, 0.000, 0.000], [0.000, 6.206, 0.000], [0.000, 0.000, 10.852]],
  "species": ["Mg", "Mg", "Mg", "Mg", "Mg", "Mg", "Mg", "Mg", "Mg", "Mg", "Mg", "Mg", "Ti", "Ti", "Cr", "Cr"],
  "fractional_positions": [[0.000, 0.742, 0.083], [0.000, 0.258, 0.083], [0.000, 0.000, 0.336], [0.500, 0.259, 0.415], [0.500, 0.741, 0.415], [0.500, 0.000, 0.167], [0.000, 0.242, 0.583], [0.000, 0.758, 0.583], [0.000, 0.500, 0.836], [0.500, 0.759, 0.915], [0.500, 0.241, 0.915], [0.500, 0.500, 0.667], [0.000, 0.500, 0.321], [0.000, 0.000, 0.821], [0.500, 0.500, 0.180], [0.500, 0.000, 0.680]],
  "formation_enthalpy_0k_ev_per_atom": 0.207,
  "de_polymorph_mev_per_atom": 0
}